No. 1
LiNi2P3O12 | PBE+U | optimized geometry

Properties
- symmetry = C2/c, No. 15
- ΔE to the lowest computed polymorph (eV per atom) = 0.019
- energy of formation (eV per atom) = -1.96

Lattice parameters (Å, degrees): 8.7329 8.7329 6.5052 106.24 106.24 92.02
Closest atoms and distances in Å follow each position.
Fractional positions:
Li  0.0000  0.0000  0.0000  4 O 2.03-2.24
Li  0.0000  0.0000  0.5000  4 O 2.03-2.24
Ni  0.1198  0.4412  0.8648  6 O 2.02-2.12
Ni  0.4412  0.1198  0.3648  6 O 2.02-2.12
Ni  0.5588  0.8802  0.6352  6 O 2.02-2.12
Ni  0.8802  0.5588  0.1352  6 O 2.02-2.12
P  0.1504  0.3572  0.3532  4 O 1.54-1.55
P  0.2112  0.7888  0.2500  4 O 1.55
P  0.3572  0.1504  0.8532  4 O 1.54-1.55
P  0.6428  0.8496  0.1468  4 O 1.54-1.55
P  0.7888  0.2112  0.7500  4 O 1.55
P  0.8496  0.6428  0.6468  4 O 1.54-1.55
O  0.0422  0.7678  0.2788  1 P 1.55
O  0.0522  0.1893  0.2840  1 P 1.55
O  0.0882  0.4381  0.1685  1 P 1.54
O  0.1396  0.4725  0.5773  1 P 1.55
O  0.1893  0.0522  0.7840  1 P 1.55
O  0.2322  0.9578  0.2212  1 P 1.55
O  0.2413  0.6640  0.0471  1 P 1.55
O  0.3191  0.3244  0.8847  1 P 1.54
O  0.3244  0.3191  0.3847  1 P 1.54
O  0.3360  0.7587  0.4529  1 P 1.55
O  0.4381  0.0882  0.6685  1 P 1.54
O  0.4725  0.1396  0.0773  1 P 1.55
O  0.5275  0.8604  0.9227  1 P 1.55
O  0.5619  0.9118  0.3315  1 P 1.54
O  0.6640  0.2413  0.5471  1 P 1.55
O  0.6756  0.6809  0.6153  1 P 1.54
O  0.6809  0.6756  0.1153  1 P 1.54
O  0.7587  0.3360  0.9529  1 P 1.55
O  0.7678  0.0422  0.7788  1 P 1.55
O  0.8107  0.9478  0.2160  1 P 1.55
O  0.8604  0.5275  0.4227  1 P 1.55
O  0.9118  0.5619  0.8315  1 P 1.54
O  0.9478  0.8107  0.7160  1 P 1.55
O  0.9578  0.2322  0.7212  1 P 1.55


No. 2
Li7Ni2P7O24 | PBE+U | optimized geometry

Properties
- symmetry = P2/c, No. 13
- energy of formation (eV per atom) = -2.43

Lattice parameters (Å, degrees): 15.1131 5.0678 12.2175 90.00 97.09 90.00
Closest atoms and distances in Å follow each position.
Fractional positions:
Li  0.0000  0.2016  0.2500  2 O 2.05
Li  0.0000  0.7984  0.7500  2 O 2.05
Li  0.0928  0.3430  0.9413  2 O 1.97-2.13
Li  0.0928  0.6570  0.4413  2 O 1.97-2.13
Li  0.3638  0.3258  0.1125  3 O 2.06-2.26
Li  0.3638  0.6742  0.6125  3 O 2.06-2.26
Li  0.4420  0.2275  0.4807  4 O 2.07-2.22
Li  0.4420  0.7725  0.9807  4 O 2.07-2.22
Li  0.5580  0.2275  0.0193  4 O 2.07-2.22
Li  0.5580  0.7725  0.5193  4 O 2.07-2.22
Li  0.6362  0.3258  0.3875  3 O 2.06-2.26
Li  0.6362  0.6742  0.8875  3 O 2.06-2.26
Li  0.9072  0.3430  0.5587  2 O 1.97-2.13
Li  0.9072  0.6570  0.0587  2 O 1.97-2.13
Ni  0.2160  0.1380  0.2912  5 O 1.98-2.10
Ni  0.2160  0.8620  0.7912  5 O 1.98-2.10
Ni  0.7840  0.1380  0.2088  5 O 1.98-2.10
Ni  0.7840  0.8620  0.7088  5 O 1.98-2.10
P  0.1069  0.3538  0.6942  4 O 1.52-1.63
P  0.1069  0.6462  0.1942  4 O 1.52-1.63
P  0.2274  0.1204  0.5502  4 O 1.52-1.63
P  0.2274  0.8796  0.0502  4 O 1.52-1.63
P  0.3615  0.3653  0.8439  4 O 1.52-1.64
P  0.3615  0.6347  0.3439  4 O 1.52-1.64
P  0.5000  0.0564  0.7500  4 O 1.51-1.61
P  0.5000  0.9436  0.2500  4 O 1.51-1.61
P  0.6385  0.3653  0.6561  4 O 1.52-1.64
P  0.6385  0.6347  0.1561  4 O 1.52-1.64
P  0.7726  0.1204  0.9498  4 O 1.52-1.63
P  0.7726  0.8796  0.4498  4 O 1.52-1.63
P  0.8931  0.3538  0.8058  4 O 1.52-1.63
P  0.8931  0.6462  0.3058  4 O 1.52-1.63
O  0.0249  0.4676  0.6258  1 P 1.52
O  0.0249  0.5324  0.1258  1 P 1.52
O  0.0989  0.0668  0.7326  1 P 1.54
O  0.0989  0.9332  0.2326  1 P 1.54
O  0.1391  0.4626  0.2924  1 P 1.55
O  0.1391  0.5374  0.7924  1 P 1.55
O  0.1556  0.0326  0.4581  1 P 1.53
O  0.1556  0.9674  0.9581  1 P 1.53
O  0.1856  0.3630  0.6149  2 P 1.63
O  0.1856  0.6370  0.1149  2 P 1.63
O  0.2522  0.1068  0.1329  1 P 1.55
O  0.2522  0.8932  0.6329  1 P 1.55
O  0.2840  0.1765  0.8490  1 P 1.52
O  0.2840  0.8235  0.3490  1 P 1.52
O  0.3116  0.2425  0.5160  1 P 1.52
O  0.3116  0.7575  0.0160  1 P 1.52
O  0.3317  0.3649  0.2974  1 P 1.53
O  0.3317  0.6351  0.7974  1 P 1.53
O  0.4182  0.2598  0.7469  2 P 1.61-1.64
O  0.4182  0.7402  0.2469  2 P 1.61-1.64
O  0.4233  0.3687  0.9528  1 P 1.53
O  0.4233  0.6313  0.4528  1 P 1.53
O  0.4845  0.0916  0.1417  1 P 1.51
O  0.4845  0.9084  0.6417  1 P 1.51
O  0.5155  0.0916  0.3583  1 P 1.51
O  0.5155  0.9084  0.8583  1 P 1.51
O  0.5767  0.3687  0.5472  1 P 1.53
O  0.5767  0.6313  0.0472  1 P 1.53
O  0.5818  0.2598  0.7531  2 P 1.61-1.64
O  0.5818  0.7402  0.2531  2 P 1.61-1.64
O  0.6683  0.3649  0.2026  1 P 1.53
O  0.6683  0.6351  0.7026  1 P 1.53
O  0.6884  0.2425  0.9840  1 P 1.52
O  0.6884  0.7575  0.4840  1 P 1.52
O  0.7160  0.1765  0.6510  1 P 1.52
O  0.7160  0.8235  0.1510  1 P 1.52
O  0.7478  0.1068  0.3671  1 P 1.55
O  0.7478  0.8932  0.8671  1 P 1.55
O  0.8144  0.3630  0.8851  2 P 1.63
O  0.8144  0.6370  0.3851  2 P 1.63
O  0.8444  0.0326  0.0419  1 P 1.53
O  0.8444  0.9674  0.5419  1 P 1.53
O  0.8609  0.4626  0.2076  1 P 1.55
O  0.8609  0.5374  0.7076  1 P 1.55
O  0.9011  0.0668  0.7674  1 P 1.54
O  0.9011  0.9332  0.2674  1 P 1.54
O  0.9751  0.4676  0.8742  1 P 1.52
O  0.9751  0.5324  0.3742  1 P 1.52


No. 3
LiNiPO4 | PBE+U | optimized geometry

Properties
- symmetry = Pc, No. 7
- ΔE to the lowest computed polymorph (eV per atom) = 0.072
- energy of formation (eV per atom) = -2.29

Lattice parameters (Å, degrees): 7.9309 5.2296 8.4775 90.00 104.58 90.00
Closest atoms and distances in Å follow each position.
Fractional positions:
Li  0.0000  0.1606  0.0000  4 O 1.89-2.07
Li  0.0000  0.8394  0.5000  4 O 1.89-2.07
Li  0.4819  0.3234  0.6745  4 O 1.92-2.00
Li  0.4819  0.6766  0.1745  4 O 1.92-2.00
Ni  0.0796  0.3325  0.3436  4 O 1.96-2.06
Ni  0.0796  0.6675  0.8436  4 O 1.96-2.06
Ni  0.6157  0.1770  0.0582  4 O 1.97-2.01
Ni  0.6157  0.8230  0.5582  4 O 1.97-2.01
P  0.3795  0.1777  0.3030  4 O 1.55-1.56
P  0.3795  0.8223  0.8030  4 O 1.55-1.56
P  0.8672  0.3222  0.6267  4 O 1.54-1.58
P  0.8672  0.6778  0.1267  4 O 1.54-1.58
O  0.0030  0.3071  0.7948  1 P 1.56
O  0.0030  0.6929  0.2948  1 P 1.56
O  0.1973  0.1800  0.1794  1 P 1.56
O  0.1973  0.8200  0.6794  1 P 1.56
O  0.3426  0.3178  0.4532  1 P 1.56
O  0.3426  0.6822  0.9532  1 P 1.56
O  0.4467  0.0990  0.8495  1 P 1.56
O  0.4467  0.9010  0.3495  1 P 1.56
O  0.5157  0.3191  0.2314  1 P 1.55
O  0.5157  0.6809  0.7314  1 P 1.55
O  0.6992  0.1772  0.6324  1 P 1.54
O  0.6992  0.8228  0.1324  1 P 1.54
O  0.8341  0.3820  0.0968  1 P 1.58
O  0.8341  0.6180  0.5968  1 P 1.58
O  0.9412  0.2070  0.4898  1 P 1.55
O  0.9412  0.7930  0.9898  1 P 1.55


No. 4
LiNiPO4 | PBE+U | optimized geometry

Properties
- symmetry = Pnma, No. 62
- ΔE to the lowest computed polymorph (eV per atom) = 0.028
- energy of formation (eV per atom) = -2.34

Lattice parameters (Å, degrees): 10.3020 6.1541 4.6855 90.00 90.00 90.00
Closest atoms and distances in Å follow each position.
Fractional positions:
Li  0.2154  0.2500  0.0162  3 O 2.06-2.11
Li  0.2846  0.7500  0.5162  3 O 2.06-2.11
Li  0.7154  0.2500  0.4838  3 O 2.06-2.11
Li  0.7846  0.7500  0.9838  3 O 2.06-2.11
Ni  0.0000  0.0000  0.5000  6 O 2.06-2.14
Ni  0.0000  0.5000  0.5000  6 O 2.06-2.14
Ni  0.5000  0.0000  0.0000  6 O 2.06-2.14
Ni  0.5000  0.5000  0.0000  6 O 2.06-2.14
P  0.0925  0.7500  0.0865  4 O 1.55-1.60
P  0.4075  0.2500  0.5865  4 O 1.55-1.60
P  0.5925  0.7500  0.4135  4 O 1.55-1.60
P  0.9075  0.2500  0.9135  4 O 1.55-1.60
O  0.0492  0.2500  0.7733  1 P 1.60
O  0.0859  0.7500  0.7553  1 P 1.55
O  0.1565  0.5426  0.2107  1 P 1.55
O  0.1565  0.9574  0.2107  1 P 1.55
O  0.3435  0.0426  0.7107  1 P 1.55
O  0.3435  0.4574  0.7107  1 P 1.55
O  0.4141  0.2500  0.2553  1 P 1.55
O  0.4508  0.7500  0.2733  1 P 1.60
O  0.5492  0.2500  0.7267  1 P 1.60
O  0.5859  0.7500  0.7447  1 P 1.55
O  0.6565  0.5426  0.2893  1 P 1.55
O  0.6565  0.9574  0.2893  1 P 1.55
O  0.8435  0.0426  0.7893  1 P 1.55
O  0.8435  0.4574  0.7893  1 P 1.55
O  0.9141  0.2500  0.2447  1 P 1.55
O  0.9508  0.7500  0.2267  1 P 1.60


No. 5
LiNiPO4 | PBE+U | optimized geometry

Properties
- symmetry = P-1, No. 2
- ΔE to the lowest computed polymorph (eV per atom) = 0.060
- energy of formation (eV per atom) = -2.31

Lattice parameters (Å, degrees): 5.4946 6.2396 9.2819 74.90 80.98 76.04
Closest atoms and distances in Å follow each position.
Fractional positions:
Li  0.1925  0.4776  0.2457  3 O 2.02-2.12
Li  0.2939  0.6467  0.5819  4 O 2.09-2.25
Li  0.7061  0.3533  0.4181  4 O 2.09-2.25
Li  0.8075  0.5224  0.7543  3 O 2.02-2.12
Ni  0.2256  0.8338  0.9138  4 O 1.96-2.17
Ni  0.3148  0.9352  0.2857  5 O 2.00-2.20
Ni  0.6852  0.0648  0.7143  5 O 2.00-2.20
Ni  0.7744  0.1662  0.0862  4 O 1.96-2.17
P  0.1873  0.1680  0.5767  4 O 1.55-1.57
P  0.3186  0.3006  0.9523  4 O 1.53-1.57
P  0.6814  0.6994  0.0477  4 O 1.53-1.57
P  0.8127  0.8320  0.4233  4 O 1.55-1.57
O  0.0874  0.7023  0.3835  1 P 1.57
O  0.1411  0.1505  0.9375  1 P 1.55
O  0.1936  0.5443  0.8821  1 P 1.53
O  0.2084  0.1672  0.4086  1 P 1.55
O  0.2271  0.9247  0.6784  1 P 1.55
O  0.3664  0.2509  0.1218  1 P 1.57
O  0.3910  0.2918  0.5991  1 P 1.57
O  0.4056  0.7558  0.1254  1 P 1.57
O  0.5944  0.2442  0.8746  1 P 1.57
O  0.6090  0.7082  0.4009  1 P 1.57
O  0.6336  0.7491  0.8782  1 P 1.57
O  0.7729  0.0753  0.3216  1 P 1.55
O  0.7916  0.8328  0.5914  1 P 1.55
O  0.8064  0.4557  0.1179  1 P 1.53
O  0.8589  0.8495  0.0625  1 P 1.55
O  0.9126  0.2977  0.6165  1 P 1.57


No. 6
Li2NiP5O15 | PBE+U | optimized geometry

Properties
- symmetry = Cc, No. 9
- ΔE to the lowest computed polymorph (eV per atom) = 0.036
- energy of formation (eV per atom) = -2.40

Lattice parameters (Å, degrees): 7.0102 7.0102 13.5494 97.02 97.02 113.04
Closest atoms and distances in Å follow each position.
Fractional positions:
Li  0.0878  0.9122  0.5000  3 O 1.87-2.02
Li  0.4546  0.9621  0.9044  3 O 1.90-1.99
Li  0.9122  0.0878  0.0000  3 O 1.87-2.02
Li  0.9621  0.4546  0.4044  3 O 1.90-1.99
Ni  0.6116  0.8676  0.3415  4 O 1.94-2.07
Ni  0.8676  0.6116  0.8415  4 O 1.94-2.07
P  0.0587  0.6741  0.0859  4 O 1.51-1.61
P  0.1578  0.9374  0.2929  4 O 1.50-1.62
P  0.3222  0.4271  0.5659  4 O 1.49-1.60
P  0.3376  0.5305  0.7873  4 O 1.49-1.64
P  0.4271  0.3222  0.0659  4 O 1.49-1.60
P  0.5305  0.3376  0.2873  4 O 1.49-1.64
P  0.5347  0.8041  0.0936  4 O 1.49-1.60
P  0.6741  0.0587  0.5859  4 O 1.51-1.61
P  0.8041  0.5347  0.5936  4 O 1.49-1.60
P  0.9374  0.1578  0.7929  4 O 1.50-1.62
O  0.0107  0.4601  0.1132  1 P 1.51
O  0.0377  0.8320  0.1767  2 P 1.61-1.62
O  0.1796  0.2880  0.7827  2 P 1.61-1.62
O  0.1933  0.2214  0.0668  1 P 1.51
O  0.2214  0.1933  0.5668  1 P 1.51
O  0.2253  0.4835  0.4761  1 P 1.49
O  0.2588  0.6783  0.8412  1 P 1.51
O  0.2880  0.1796  0.2827  2 P 1.61-1.62
O  0.2990  0.7901  0.0741  2 P 1.60
O  0.3043  0.8385  0.3278  1 P 1.51
O  0.3095  0.5568  0.6685  2 P 1.60-1.64
O  0.4601  0.0107  0.6132  1 P 1.51
O  0.4835  0.2253  0.9761  1 P 1.49
O  0.4972  0.5635  0.0630  2 P 1.57-1.59
O  0.5510  0.5559  0.3215  1 P 1.49
O  0.5559  0.5510  0.8215  1 P 1.49
O  0.5568  0.3095  0.1685  2 P 1.60-1.64
O  0.5635  0.4972  0.5630  2 P 1.57-1.59
O  0.6366  0.8894  0.2016  1 P 1.49
O  0.6374  0.9178  0.0152  1 P 1.49
O  0.6783  0.2588  0.3412  1 P 1.51
O  0.6891  0.9281  0.4923  1 P 1.51
O  0.7901  0.2990  0.5741  2 P 1.60
O  0.8320  0.0377  0.6767  2 P 1.61-1.62
O  0.8385  0.3043  0.8278  1 P 1.51
O  0.8894  0.6366  0.7016  1 P 1.49
O  0.9178  0.6374  0.5152  1 P 1.49
O  0.9281  0.6891  0.9923  1 P 1.51
O  0.9310  0.9940  0.8557  1 P 1.50
O  0.9940  0.9310  0.3557  1 P 1.50